# 1
A relaxed structure of MgSb. Source: the Materials Project, functional PBE-GGA.

Cell: 12.4174 3.2861 7.5981 Å, 90.00 104.00 90.00°
Element x y z (fractional)
Mg 0.0000 0.0000 0.0000
Mg 0.0525 0.0000 0.6073
Mg 0.3324 0.0000 0.6595
Mg 0.5000 0.5000 0.0000
Mg 0.5525 0.5000 0.6073
Mg 0.8324 0.5000 0.6595
Sb 0.1664 0.5000 0.3391
Sb 0.2045 0.5000 0.8955
Sb 0.4076 0.0000 0.2925
Sb 0.6664 0.0000 0.3391
Sb 0.7045 0.0000 0.8955
Sb 0.9076 0.5000 0.2925

Output
**Energy relative to the elements**: -0.12 eV per atom
**Symmetry**: Cm, No. 8
**Crystal system**: monoclinic
**Final energy**: -2.89 eV/atom


# 2
A relaxed structure of MgSb. Source: the Materials Project, functional PBE-GGA.

Cell: 3.6553 3.6553 3.6553 Å, 90.00 90.00 90.00°
Element x y z (fractional)
Mg 0.0000 0.0000 0.0000
Sb 0.5000 0.5000 0.5000

Output
**Energy relative to the elements**: -0.20 eV per atom
**Symmetry**: Pm-3m, No. 221
**Crystal system**: cubic
**Final energy**: -2.97 eV/atom


# 3
A relaxed structure of Mg2Sb. Source: the Materials Project, functional PBE-GGA.

Cell: 11.7470 3.6564 7.5081 Å, 90.00 113.78 90.00°
Element x y z (fractional)
Mg 0.0516 0.0000 0.3231
Mg 0.1345 0.5000 0.0374
Mg 0.3655 0.0000 0.9626
Mg 0.4484 0.5000 0.6769
Mg 0.5516 0.5000 0.3231
Mg 0.6345 0.0000 0.0374
Mg 0.8655 0.5000 0.9626
Mg 0.9484 0.0000 0.6769
Sb 0.1769 0.5000 0.6793
Sb 0.3231 0.0000 0.3207
Sb 0.6769 0.0000 0.6793
Sb 0.8231 0.5000 0.3207

Output
**Energy relative to the elements**: -0.22 eV per atom
**Symmetry**: C2/m, No. 12
**Crystal system**: monoclinic
**Final energy**: -2.60 eV/atom


# 4
A relaxed structure of Mg7Sb. Source: the Materials Project, functional PBE-GGA.

Cell: 6.3283 6.3283 5.3198 Å, 90.00 90.00 120.00°
Element x y z (fractional)
Mg 0.0000 0.0000 0.0000
Mg 0.3324 0.1662 0.5000
Mg 0.5007 0.0014 0.0000
Mg 0.5007 0.4993 0.0000
Mg 0.8338 0.1662 0.5000
Mg 0.8338 0.6676 0.5000
Mg 0.9986 0.4993 0.0000
Sb 0.3333 0.6667 0.5000

Output
**Energy relative to the elements**: -0.08 eV per atom
**Symmetry**: P-6m2, No. 187
**Crystal system**: hexagonal
**Final energy**: -1.97 eV/atom


# 5
A relaxed structure of Mg2Sb. Source: the Materials Project, functional PBE-GGA.

Cell: 3.3132 3.3132 15.5609 Å, 90.00 90.00 120.00°
Element x y z (fractional)
Mg 0.0000 0.0000 0.0000
Mg 0.0000 0.0000 0.3358
Mg 0.0000 0.0000 0.6642
Mg 0.3333 0.6667 0.5000
Sb 0.3333 0.6667 0.1665
Sb 0.3333 0.6667 0.8335

Output
**Energy relative to the elements**: -0.07 eV per atom
**Symmetry**: P-6m2, No. 187
**Crystal system**: hexagonal
**Final energy**: -2.45 eV/atom


# 6
A relaxed structure of Mg2Sb. Source: the Materials Project, functional PBE-GGA.

Cell: 3.5437 15.4197 5.4077 Å, 90.00 90.00 90.00°
Element x y z (fractional)
Mg 0.0000 0.0543 0.2500
Mg 0.0000 0.3823 0.2500
Mg 0.0000 0.6177 0.7500
Mg 0.0000 0.9457 0.7500
Mg 0.5000 0.1177 0.7500
Mg 0.5000 0.4457 0.7500
Mg 0.5000 0.5543 0.2500
Mg 0.5000 0.8823 0.2500
Sb 0.0000 0.2901 0.7500
Sb 0.0000 0.7099 0.2500
Sb 0.5000 0.2099 0.2500
Sb 0.5000 0.7901 0.7500

Output
**Energy relative to the elements**: -0.13 eV per atom
**Symmetry**: Cmcm, No. 63
**Crystal system**: orthorhombic
**Final energy**: -2.51 eV/atom


# 7
A relaxed structure of Mg2Sb. Source: the Materials Project, functional PBE-GGA.

Cell: 3.3163 3.3163 15.4747 Å, 90.00 90.00 120.00°
Element x y z (fractional)
Mg 0.3333 0.6667 0.0817
Mg 0.3333 0.6667 0.4183
Mg 0.6667 0.3333 0.5817
Mg 0.6667 0.3333 0.9183
Sb 0.3333 0.6667 0.7500
Sb 0.6667 0.3333 0.2500

Output
**Energy relative to the elements**: -0.08 eV per atom
**Symmetry**: P6_3/mmc, No. 194
**Crystal system**: hexagonal
**Final energy**: -2.46 eV/atom


# 8
A relaxed structure of MgSb. Source: the Materials Project, functional PBE-GGA.

Cell: 5.1688 3.2240 17.8974 Å, 90.00 90.00 90.00°
Element x y z (fractional)
Mg 0.0000 0.0000 0.0000
Mg 0.0000 0.0000 0.3367
Mg 0.0000 0.5000 0.5000
Mg 0.0000 0.5000 0.8367
Mg 0.5000 0.0000 0.2189
Mg 0.5000 0.5000 0.7189
Sb 0.0000 0.0000 0.6883
Sb 0.0000 0.5000 0.1883
Sb 0.5000 0.0000 0.5560
Sb 0.5000 0.0000 0.8739
Sb 0.5000 0.5000 0.0560
Sb 0.5000 0.5000 0.3739

Output
**Energy relative to the elements**: -0.16 eV per atom
**Symmetry**: Amm2, No. 38
**Crystal system**: orthorhombic
**Final energy**: -2.93 eV/atom


# 9
A relaxed structure of Mg2Sb. Source: the Materials Project, functional PBE-GGA.

Cell: 3.3097 15.8329 5.4717 Å, 90.00 90.00 90.00°
Element x y z (fractional)
Mg 0.0000 0.0584 0.2500
Mg 0.0000 0.2781 0.7500
Mg 0.0000 0.7219 0.2500
Mg 0.0000 0.9416 0.7500
Mg 0.5000 0.2219 0.2500
Mg 0.5000 0.4416 0.7500
Mg 0.5000 0.5584 0.2500
Mg 0.5000 0.7781 0.7500
Sb 0.0000 0.3890 0.2500
Sb 0.0000 0.6110 0.7500
Sb 0.5000 0.1110 0.7500
Sb 0.5000 0.8890 0.2500

Output
**Energy relative to the elements**: -0.20 eV per atom
**Symmetry**: Cmcm, No. 63
**Crystal system**: orthorhombic
**Final energy**: -2.57 eV/atom


# 10
A relaxed structure of MgSb. Source: the Materials Project, functional PBE-GGA.

Cell: 3.9828 5.6317 4.5148 Å, 90.00 90.00 90.00°
Element x y z (fractional)
Mg 0.2500 0.2500 0.1254
Mg 0.7500 0.7500 0.8746
Sb 0.2500 0.7500 0.3764
Sb 0.7500 0.2500 0.6236

Output
**Energy relative to the elements**: -0.28 eV per atom
**Symmetry**: Pmmn, No. 59
**Crystal system**: orthorhombic
**Final energy**: -3.04 eV/atom


# 11
A relaxed structure of Mg2Sb. Source: the Materials Project, functional PBE-GGA.

Cell: 5.6463 5.6463 5.2741 Å, 90.00 90.00 120.00°
Element x y z (fractional)
Mg 0.0000 0.0000 0.0000
Mg 0.0000 0.3336 0.5000
Mg 0.3336 0.0000 0.5000
Mg 0.6664 0.6664 0.5000
Sb 0.3333 0.6667 0.0000
Sb 0.6667 0.3333 0.0000

Output
**Energy relative to the elements**: -0.11 eV per atom
**Symmetry**: P-62m, No. 189
**Crystal system**: hexagonal
**Final energy**: -2.49 eV/atom


# 12
A relaxed structure of MgSb. Source: the Materials Project, functional PBE-GGA.

Cell: 9.3893 5.7161 5.7544 Å, 90.00 92.14 90.00°
Element x y z (fractional)
Mg 0.0000 0.0000 0.0000
Mg 0.1768 0.6575 0.5172
Mg 0.3232 0.1575 0.4828
Mg 0.5000 0.5000 0.0000
Mg 0.6768 0.1575 0.5172
Mg 0.8232 0.6575 0.4828
Sb 0.0000 0.0907 0.5000
Sb 0.1611 0.5159 0.0120
Sb 0.3389 0.0159 0.9880
Sb 0.5000 0.5907 0.5000
Sb 0.6611 0.0159 0.0120
Sb 0.8389 0.5159 0.9880

Output
**Energy relative to the elements**: -0.23 eV per atom
**Symmetry**: C2, No. 5
**Crystal system**: monoclinic
**Final energy**: -3.00 eV/atom


# 13
A relaxed structure of Mg3Sb2. Source: the Materials Project, functional PBE-GGA.

Cell: 11.6273 11.6273 11.6273 Å, 109.47 109.47 109.47°
Element x y z (fractional)
Mg 0.0049 0.0179 0.2595
Mg 0.0130 0.4951 0.7546
Mg 0.0179 0.2595 0.0049
Mg 0.2405 0.2584 0.7454
Mg 0.2416 0.4821 0.4870
Mg 0.2454 0.9870 0.5049
Mg 0.2546 0.7595 0.7416
Mg 0.2584 0.7454 0.2405
Mg 0.2595 0.0049 0.0179
Mg 0.4821 0.4870 0.2416
Mg 0.4870 0.2416 0.4821
Mg 0.4951 0.7546 0.0130
Mg 0.5049 0.2454 0.9870
Mg 0.5130 0.7584 0.5179
Mg 0.5179 0.5130 0.7584
Mg 0.7405 0.9951 0.9821
Mg 0.7416 0.2546 0.7595
Mg 0.7454 0.2405 0.2584
Mg 0.7546 0.0130 0.4951
Mg 0.7584 0.5179 0.5130
Mg 0.7595 0.7416 0.2546
Mg 0.9821 0.7405 0.9951
Mg 0.9870 0.5049 0.2454
Mg 0.9951 0.9821 0.7405
Sb 0.0000 0.0000 0.5000
Sb 0.0000 0.5000 0.0000
Sb 0.0125 0.7500 0.7625
Sb 0.2375 0.9875 0.2500
Sb 0.2500 0.2375 0.9875
Sb 0.2500 0.7375 0.4875
Sb 0.2625 0.5125 0.7500
Sb 0.4875 0.2500 0.7375
Sb 0.5000 0.0000 0.0000
Sb 0.5000 0.5000 0.5000
Sb 0.5125 0.7500 0.2625
Sb 0.7375 0.4875 0.2500
Sb 0.7500 0.2625 0.5125
Sb 0.7500 0.7625 0.0125
Sb 0.7625 0.0125 0.7500
Sb 0.9875 0.2500 0.2375

Output
**Energy relative to the elements**: -0.45 eV per atom
**Offset from the most stable computed form**: 0.000 eV/atom
**Symmetry**: Ia-3, No. 206
**Crystal system**: cubic
**Final energy**: -2.98 eV/atom


# 14
A relaxed structure of MgSb. Source: the Materials Project, functional PBE-GGA.

Cell: 5.4538 3.2473 17.2241 Å, 90.00 90.00 90.00°
Element x y z (fractional)
Mg 0.0000 0.0000 0.0000
Mg 0.0000 0.0000 0.3319
Mg 0.0000 0.5000 0.5000
Mg 0.0000 0.5000 0.8319
Mg 0.5000 0.0000 0.8901
Mg 0.5000 0.5000 0.3901
Sb 0.0000 0.0000 0.6587
Sb 0.0000 0.5000 0.1587
Sb 0.5000 0.0000 0.2452
Sb 0.5000 0.0000 0.5357
Sb 0.5000 0.5000 0.0357
Sb 0.5000 0.5000 0.7452

Output
**Energy relative to the elements**: -0.11 eV per atom
**Symmetry**: Amm2, No. 38
**Crystal system**: orthorhombic
**Final energy**: -2.88 eV/atom


# 15
A relaxed structure of Mg2Sb. Source: the Materials Project, functional PBE-GGA.

Cell: 6.2318 6.2318 6.2318 Å, 53.63 53.63 53.63°
Element x y z (fractional)
Mg 0.0000 0.0000 0.0000
Mg 0.1601 0.8399 0.5000
Mg 0.5000 0.1601 0.8399
Mg 0.8399 0.5000 0.1601
Sb 0.3487 0.3487 0.3487
Sb 0.6513 0.6513 0.6513

Output
**Energy relative to the elements**: -0.14 eV per atom
**Symmetry**: R32, No. 155
**Crystal system**: trigonal
**Final energy**: -2.52 eV/atom


# 16
A relaxed structure of Mg2Sb. Source: the Materials Project, functional PBE-GGA.

Cell: 11.3148 3.5530 7.8078 Å, 90.00 111.83 90.00°
Element x y z (fractional)
Mg 0.1459 0.0000 0.0304
Mg 0.1600 0.0000 0.6249
Mg 0.3400 0.5000 0.3751
Mg 0.3541 0.5000 0.9696
Mg 0.6459 0.5000 0.0304
Mg 0.6600 0.5000 0.6249
Mg 0.8400 0.0000 0.3751
Mg 0.8541 0.0000 0.9696
Sb 0.0533 0.5000 0.2845
Sb 0.4467 0.0000 0.7155
Sb 0.5533 0.0000 0.2845
Sb 0.9467 0.5000 0.7155

Output
**Energy relative to the elements**: -0.19 eV per atom
**Symmetry**: C2/m, No. 12
**Crystal system**: monoclinic
**Final energy**: -2.57 eV/atom


# 17
A relaxed structure of MgSb. Source: the Materials Project, functional PBE-GGA.

Cell: 3.4316 3.4316 4.1728 Å, 90.00 90.00 90.00°
Element x y z (fractional)
Mg 0.0000 0.0000 0.0000
Sb 0.5000 0.5000 0.5000

Output
**Energy relative to the elements**: -0.23 eV per atom
**Symmetry**: P4/mmm, No. 123
**Crystal system**: tetragonal
**Final energy**: -3.00 eV/atom


# 18
A relaxed structure of MgSb. Source: the Materials Project, functional PBE-GGA.

Cell: 5.2873 3.5399 16.5347 Å, 90.00 90.00 90.00°
Element x y z (fractional)
Mg 0.0000 0.0000 0.0000
Mg 0.0000 0.0000 0.3246
Mg 0.0000 0.5000 0.5000
Mg 0.0000 0.5000 0.8246
Mg 0.5000 0.0000 0.7637
Mg 0.5000 0.5000 0.2637
Sb 0.0000 0.0000 0.6603
Sb 0.0000 0.5000 0.1603
Sb 0.5000 0.0000 0.1204
Sb 0.5000 0.0000 0.4101
Sb 0.5000 0.5000 0.6204
Sb 0.5000 0.5000 0.9101

Output
**Energy relative to the elements**: -0.18 eV per atom
**Symmetry**: Amm2, No. 38
**Crystal system**: orthorhombic
**Final energy**: -2.95 eV/atom


# 19
A relaxed structure of MgSb. Source: the Materials Project, functional PBE-GGA.

Cell: 3.6964 3.6964 4.3381 Å, 90.00 90.00 120.00°
Element x y z (fractional)
Mg 0.0000 0.0000 0.0000
Sb 0.6667 0.3333 0.5000

Output
**Energy relative to the elements**: -0.17 eV per atom
**Symmetry**: P-6m2, No. 187
**Crystal system**: hexagonal
**Final energy**: -2.94 eV/atom


# 20
A relaxed structure of Mg2Sb. Source: the Materials Project, functional PBE-GGA.

Cell: 9.5430 5.6105 6.9204 Å, 90.00 129.64 90.00°
Element x y z (fractional)
Mg 0.1726 0.1051 0.2559
Mg 0.1726 0.8949 0.7559
Mg 0.3274 0.3949 0.7441
Mg 0.3274 0.6051 0.2441
Mg 0.6726 0.3949 0.7559
Mg 0.6726 0.6051 0.2559
Mg 0.8274 0.1051 0.2441
Mg 0.8274 0.8949 0.7441
Sb 0.0000 0.3686 0.7500
Sb 0.0000 0.6314 0.2500
Sb 0.5000 0.1314 0.2500
Sb 0.5000 0.8686 0.7500

Output
**Energy relative to the elements**: -0.20 eV per atom
**Symmetry**: C2/c, No. 15
**Crystal system**: monoclinic
**Final energy**: -2.58 eV/atom


# 21
A relaxed structure of MgSb. Source: the Materials Project, functional PBE-GGA.

Cell: 5.7235 9.4513 5.7385 Å, 90.00 90.00 90.00°
Element x y z (fractional)
Mg 0.0000 0.0000 0.0000
Mg 0.0000 0.5000 0.5000
Mg 0.5000 0.1774 0.6648
Mg 0.5000 0.3226 0.1648
Mg 0.5000 0.6774 0.1648
Mg 0.5000 0.8226 0.6648
Sb 0.0000 0.1591 0.5153
Sb 0.0000 0.3409 0.0153
Sb 0.0000 0.6591 0.0153
Sb 0.0000 0.8409 0.5153
Sb 0.5000 0.0000 0.0941
Sb 0.5000 0.5000 0.5941

Output
**Energy relative to the elements**: -0.23 eV per atom
**Symmetry**: Amm2, No. 38
**Crystal system**: orthorhombic
**Final energy**: -3.00 eV/atom


# 22
A relaxed structure of Mg3Sb2. Source: the Materials Project, functional PBE-GGA.

Cell: 4.6007 4.6007 7.2813 Å, 90.00 90.00 120.00°
Element x y z (fractional)
Mg 0.0000 0.0000 0.0000
Mg 0.3333 0.6667 0.6317
Mg 0.6667 0.3333 0.3683
Sb 0.3333 0.6667 0.2253
Sb 0.6667 0.3333 0.7747

Output
**Energy relative to the elements**: -0.44 eV per atom
**Offset from the most stable computed form**: 0.007 eV/atom
**Symmetry**: P-3m1, No. 164
**Crystal system**: trigonal
**Final energy**: -2.97 eV/atom


# 23
A relaxed structure of Mg14SiSb. Source: the Materials Project, functional PBE-GGA.

Cell: 6.3303 6.3303 10.2194 Å, 90.00 90.00 120.00°
Element x y z (fractional)
Mg 0.0000 0.0000 0.2493
Mg 0.0000 0.0000 0.7507
Mg 0.3325 0.1662 0.0000
Mg 0.3319 0.1660 0.5000
Mg 0.5009 0.0017 0.2556
Mg 0.5009 0.0017 0.7444
Mg 0.5009 0.4991 0.2556
Mg 0.5009 0.4991 0.7444
Mg 0.8338 0.1662 0.0000
Mg 0.8340 0.1660 0.5000
Mg 0.8338 0.6675 0.0000
Mg 0.8340 0.6681 0.5000
Mg 0.9983 0.4991 0.2556
Mg 0.9983 0.4991 0.7444
Si 0.3333 0.6667 0.5000
Sb 0.3333 0.6667 0.0000

Output
**Energy relative to the elements**: -0.01 eV per atom
**Offset from the most stable computed form**: 0.000 eV/atom
**Symmetry**: P-6m2, No. 187
**Crystal system**: hexagonal
**Final energy**: -2.00 eV/atom


# 24
A relaxed structure of Mg14SiSb. Source: the Materials Project, functional PBE-GGA.

Cell: 10.1921 6.2863 6.2863 Å, 62.57 90.00 90.00°
Element x y z (fractional)
Mg 0.0000 0.0000 0.0000
Mg 0.0000 0.0018 0.5007
Mg 0.0000 0.4997 0.4997
Mg 0.0000 0.5007 0.0018
Mg 0.2479 0.6693 0.6693
Mg 0.2537 0.1652 0.6750
Mg 0.2542 0.1664 0.1664
Mg 0.2537 0.6750 0.1652
Mg 0.5000 0.0003 0.5001
Mg 0.5000 0.5001 0.0003
Mg 0.7463 0.1652 0.6750
Mg 0.7458 0.1664 0.1664
Mg 0.7463 0.6750 0.1652
Mg 0.7521 0.6693 0.6693
Si 0.5000 0.0045 0.0045
Sb 0.5000 0.5039 0.5039

Output
**Energy relative to the elements**: -0.01 eV per atom
**Offset from the most stable computed form**: 0.007 eV/atom
**Symmetry**: Amm2, No. 38
**Crystal system**: orthorhombic
**Final energy**: -1.99 eV/atom


# 25
A relaxed structure of MgSiSb2. Source: the Materials Project, functional PBE-GGA.

Cell: 6.4444 6.4444 11.9432 Å, 90.00 90.00 90.00°
Element x y z (fractional)
Mg 0.0000 0.0000 0.0000
Mg 0.0000 0.5000 0.2500
Mg 0.5000 0.0000 0.7500
Mg 0.5000 0.5000 0.5000
Si 0.0000 0.0000 0.5000
Si 0.0000 0.5000 0.7500
Si 0.5000 0.0000 0.2500
Si 0.5000 0.5000 0.0000
Sb 0.2201 0.7500 0.6250
Sb 0.2500 0.2201 0.3750
Sb 0.2500 0.2799 0.8750
Sb 0.2799 0.7500 0.1250
Sb 0.7201 0.2500 0.1250
Sb 0.7500 0.7201 0.8750
Sb 0.7500 0.7799 0.3750
Sb 0.7799 0.2500 0.6250

Output
**Energy relative to the elements**: -0.14 eV per atom
**Symmetry**: I-42d, No. 122
**Crystal system**: tetragonal
**Final energy**: -3.86 eV/atom